[1]
The following is a DFT calculation (PBE) of a relaxed LiPm2Al crystal.

Summary:
- Energy of formation: -0.8 eV/f.u.
- SG: Fm-3m

a b c (Å): 5.278 5.278 5.278
angles (deg): 60.00 60.00 60.00
Fractional coordinates of all 4 atoms:
Al1 0.500 0.500 0.500
Pm1 0.750 0.750 0.750
Pm2 0.250 0.250 0.250
Li1 0.000 0.000 0.000


[2]
The following is a DFT calculation (PBE) of a relaxed LiAl2Pt crystal.

Summary:
- Energy of formation: -3.3 eV/f.u.
- SG: Fm-3m

a b c (Å): 4.307 4.307 4.307
angles (deg): 60.00 60.00 60.00
Fractional coordinates of all 4 atoms:
Pt1 0.500 0.500 0.500
Li1 0.000 0.000 0.000
Al1 0.750 0.750 0.750
Al2 0.250 0.250 0.250


[3]
The following is a DFT calculation (PBE) of a relaxed LiAlPt2 crystal.

Summary:
- Energy of formation: -3.8 eV/f.u.
- SG: Fm-3m

a b c (Å): 4.261 4.261 4.261
angles (deg): 60.00 60.00 60.00
Fractional coordinates of all 4 atoms:
Li1 0.500 0.500 0.500
Pt1 0.250 0.250 0.250
Pt2 0.750 0.750 0.750
Al1 0.000 0.000 0.000


[4]
The following is a DFT calculation (PBE) of a relaxed Li12Al3Si4 crystal.

Summary:
- Energy of formation: -2.5 eV/f.u.
- Magnetization: 0.00 μB/f.u.
- SG: I-43d

a b c (Å): 9.111 9.111 9.111
angles (deg): 109.47 109.47 109.47
Fractional coordinates of all 38 atoms:
Li1 0.769 0.690 0.154
Li2 0.231 0.421 0.385
Li3 0.654 0.190 0.269
Li4 0.190 0.269 0.654
Li5 0.464 0.810 0.579
Li6 0.536 0.846 0.115
Li7 0.921 0.731 0.885
Li8 0.346 0.036 0.615
Li9 0.731 0.885 0.921
Li10 0.385 0.231 0.421
Li11 0.579 0.464 0.810
Li12 0.421 0.385 0.231
Li13 0.615 0.346 0.036
Li14 0.269 0.654 0.190
Li15 0.310 0.964 0.079
Li16 0.115 0.536 0.846
Li17 0.036 0.615 0.346
Li18 0.885 0.921 0.731
Li19 0.079 0.310 0.964
Li20 0.154 0.769 0.690
Li21 0.690 0.154 0.769
Li22 0.846 0.115 0.536
Li23 0.810 0.579 0.464
Li24 0.964 0.079 0.310
Al1 0.125 0.875 0.250
Al2 0.875 0.250 0.125
Al3 0.750 0.375 0.625
Al4 0.375 0.625 0.750
Al5 0.625 0.750 0.375
Al6 0.250 0.125 0.875
Si1 0.908 0.500 0.000
Si2 0.000 0.908 0.500
Si3 0.500 0.000 0.408
Si4 0.408 0.500 0.000
Si5 0.500 0.000 0.908
Si6 0.092 0.092 0.092
Si7 0.000 0.408 0.500
Si8 0.592 0.592 0.592


- The lowest energy of formation belongs to which entry?
  LiAlPt2


- Among the records above, which one has the highest energy of formation?
  LiPm2Al


- Among the records above, which one has the lowest energy of formation?
  LiAlPt2